# GGA-PBE Na6Y2Sc2Si3S3O24, optimized geometry
# Size of the total moment = 0.00 μB/f.u.
# Energy of formation from the pure elements = -2.82 eV per atom
data_Na6Y2Sc2Si3S3O24
_cell_length_a 9.248
_cell_length_b 9.290
_cell_length_c 23.004
_cell_angle_alpha 89.71
_cell_angle_beta 89.43
_cell_angle_gamma 60.30
_symmetry_space_group_name_H-M 'P 1'
_symmetry_Int_Tables_number 1
_symmetry_space_group_name_Hall 'P 1'
loop_
_atom_site_label
_atom_site_fract_x
_atom_site_fract_y
_atom_site_fract_z
Na1 0.000 0.000 0.000
Na2 0.001 0.242 0.484
Na3 0.016 0.613 0.729
Na4 0.039 0.927 0.642
Na5 0.046 0.267 0.167
Na6 0.318 0.957 0.088
Na7 0.319 0.608 0.804
Na8 0.322 0.967 0.570
Na9 0.331 0.305 0.311
Na10 0.339 0.260 0.013
Na11 0.348 0.637 0.494
Na12 0.665 0.942 0.176
Na13 0.667 0.635 0.649
Na14 0.688 0.257 0.400
Na15 0.699 0.273 0.907
Na16 0.955 0.969 0.323
Na17 0.969 0.305 0.823
Na18 0.998 0.622 0.242
Y1 0.011 0.610 0.098
Y2 0.321 0.963 0.923
Y3 0.671 0.284 0.750
Y4 0.675 0.290 0.063
Y5 0.977 0.639 0.386
Y6 0.987 0.626 0.887
Sc1 0.020 0.619 0.591
Sc2 0.312 0.958 0.715
Sc3 0.322 0.966 0.418
Sc4 0.328 0.968 0.225
Sc5 0.669 0.275 0.259
Sc6 0.678 0.281 0.559
Si1 0.000 0.927 0.490
Si2 0.028 0.954 0.821
Si3 0.031 0.254 0.323
Si4 0.367 0.588 0.657
Si5 0.369 0.283 0.158
Si6 0.621 0.960 0.320
Si7 0.968 0.296 0.656
Si8 0.970 0.986 0.159
Si9 0.994 0.321 0.986
S1 0.298 0.326 0.490
S2 0.300 0.617 0.986
S3 0.335 0.251 0.821
S4 0.338 0.661 0.325
S5 0.627 0.659 0.819
S6 0.656 0.591 0.160
S7 0.666 0.984 0.654
S8 0.695 0.622 0.495
S9 0.697 0.926 0.992
O1 0.014 0.424 0.040
O2 0.022 0.805 0.546
O3 0.026 0.777 0.820
O4 0.034 0.429 0.328
O5 0.117 0.969 0.881
O6 0.119 0.139 0.383
O7 0.150 0.158 0.267
O8 0.151 0.125 0.660
O9 0.151 0.941 0.766
O10 0.155 0.964 0.165
O11 0.167 0.134 0.990
O12 0.173 0.628 0.650
O13 0.174 0.435 0.160
O14 0.174 0.940 0.489
O15 0.175 0.415 0.820
O16 0.184 0.644 0.327
O17 0.185 0.414 0.540
O18 0.190 0.643 0.036
O19 0.217 0.608 0.932
O20 0.224 0.423 0.436
O21 0.310 0.160 0.487
O22 0.321 0.769 0.276
O23 0.327 0.762 0.983
O24 0.332 0.152 0.772
O25 0.346 0.167 0.878
O26 0.350 0.737 0.381
O27 0.358 0.772 0.658
O28 0.361 0.108 0.160
O29 0.439 0.492 0.718
O30 0.459 0.277 0.095
O31 0.460 0.461 0.990
O32 0.462 0.313 0.498
O33 0.472 0.298 0.212
O34 0.475 0.285 0.819
O35 0.484 0.494 0.320
O36 0.491 0.484 0.602
O37 0.504 0.970 0.376
O38 0.512 0.758 0.165
O39 0.519 0.962 0.661
O40 0.528 0.766 0.488
O41 0.529 0.946 0.987
O42 0.537 0.751 0.872
O43 0.537 0.943 0.261
O44 0.544 0.753 0.766
O45 0.629 0.135 0.321
O46 0.631 0.496 0.820
O47 0.642 0.519 0.104
O48 0.644 0.090 0.603
O49 0.676 0.482 0.209
O50 0.678 0.468 0.499
O51 0.681 0.094 0.991
O52 0.695 0.057 0.706
O53 0.775 0.638 0.548
O54 0.779 0.835 0.045
O55 0.801 0.838 0.940
O56 0.802 0.627 0.819
O57 0.805 0.594 0.444
O58 0.812 0.605 0.157
O59 0.816 0.809 0.322
O60 0.816 0.817 0.647
O61 0.834 0.291 0.988
O62 0.838 0.116 0.497
O63 0.845 0.096 0.212
O64 0.848 0.125 0.819
O65 0.848 0.268 0.319
O66 0.863 0.329 0.717
O67 0.866 0.260 0.605
O68 0.897 0.090 0.097
O69 0.962 0.814 0.156
O70 0.974 0.467 0.645
O71 0.986 0.840 0.431
O72 0.991 0.410 0.923

# GGA-PBE Na2Y2Sc2SiS5O24, optimized geometry
# Size of the total moment = 0.00 μB/f.u.
# Energy of formation from the pure elements = -2.69 eV per atom
data_Na2Y2Sc2SiS5O24
_cell_length_a 9.007
_cell_length_b 9.018
_cell_length_c 23.912
_cell_angle_alpha 89.99
_cell_angle_beta 89.97
_cell_angle_gamma 60.05
_symmetry_space_group_name_H-M 'P 1'
_symmetry_Int_Tables_number 1
_symmetry_space_group_name_Hall 'P 1'
loop_
_atom_site_label
_atom_site_fract_x
_atom_site_fract_y
_atom_site_fract_z
Na1 0.000 0.000 0.000
Na2 0.004 0.015 0.490
Na3 0.330 0.349 0.665
Na4 0.347 0.331 0.173
Na5 0.654 0.668 0.825
Na6 0.694 0.624 0.333
Y1 0.008 0.989 0.650
Y2 0.325 0.332 0.516
Y3 0.333 0.334 0.312
Y4 0.669 0.658 0.183
Y5 0.678 0.654 0.477
Y6 0.993 0.019 0.350
Sc1 0.016 0.988 0.846
Sc2 0.334 0.341 0.813
Sc3 0.335 0.333 0.014
Sc4 0.655 0.667 0.686
Sc5 0.666 0.667 0.980
Sc6 0.986 0.011 0.150
Si1 0.036 0.330 0.414
Si2 0.302 0.699 0.750
Si3 0.696 0.296 0.246
S1 0.001 0.296 0.751
S2 0.003 0.710 0.245
S3 0.041 0.624 0.916
S4 0.289 0.002 0.244
S5 0.330 0.632 0.416
S6 0.334 0.042 0.916
S7 0.369 0.666 0.076
S8 0.379 0.959 0.585
S9 0.625 0.334 0.916
S10 0.630 0.036 0.416
S11 0.665 0.374 0.586
S12 0.666 0.963 0.077
S13 0.704 0.999 0.752
S14 0.956 0.666 0.586
S15 0.965 0.370 0.076
O1 0.017 0.800 0.194
O2 0.018 0.160 0.417
O3 0.021 0.797 0.910
O4 0.027 0.196 0.700
O5 0.120 0.518 0.865
O6 0.131 0.343 0.358
O7 0.131 0.513 0.585
O8 0.138 0.323 0.472
O9 0.138 0.351 0.067
O10 0.149 0.540 0.966
O11 0.154 0.536 0.245
O12 0.157 0.311 0.760
O13 0.171 0.798 0.412
O14 0.178 0.025 0.911
O15 0.187 0.010 0.193
O16 0.187 0.778 0.695
O17 0.198 0.819 0.080
O18 0.203 0.983 0.588
O19 0.204 0.824 0.805
O20 0.219 0.974 0.295
O21 0.298 0.161 0.246
O22 0.312 0.148 0.966
O23 0.323 0.543 0.467
O24 0.325 0.508 0.761
O25 0.352 0.511 0.067
O26 0.355 0.528 0.365
O27 0.360 0.120 0.865
O28 0.367 0.129 0.585
O29 0.458 0.864 0.533
O30 0.463 0.685 0.027
O31 0.465 0.854 0.238
O32 0.471 0.636 0.127
O33 0.479 0.659 0.419
O34 0.480 0.864 0.635
O35 0.488 0.867 0.924
O36 0.493 0.681 0.744
O37 0.508 0.360 0.585
O38 0.509 0.311 0.245
O39 0.514 0.137 0.067
O40 0.519 0.360 0.866
O41 0.529 0.147 0.761
O42 0.534 0.122 0.365
O43 0.539 0.313 0.966
O44 0.550 0.139 0.467
O45 0.635 0.870 0.420
O46 0.636 0.893 0.128
O47 0.642 0.490 0.923
O48 0.655 0.480 0.636
O49 0.679 0.455 0.534
O50 0.681 0.485 0.242
O51 0.686 0.851 0.027
O52 0.693 0.841 0.745
O53 0.772 0.035 0.700
O54 0.797 0.181 0.910
O55 0.803 0.208 0.301
O56 0.804 0.183 0.189
O57 0.807 0.005 0.413
O58 0.815 0.978 0.801
O59 0.820 0.203 0.590
O60 0.823 0.978 0.080
O61 0.844 0.502 0.415
O62 0.844 0.698 0.240
O63 0.849 0.470 0.745
O64 0.852 0.461 0.027
O65 0.863 0.679 0.534
O66 0.864 0.655 0.636
O67 0.867 0.642 0.924
O68 0.895 0.471 0.127
O69 0.971 0.823 0.588
O70 0.973 0.211 0.801
O71 0.984 0.197 0.081
O72 0.991 0.801 0.297

# GGA-PBE Na4YScSi2SO12, optimized geometry
# Size of the total moment = 0.00 μB/f.u.
# Energy of formation from the pure elements = -2.88 eV per atom
data_Na4YScSi2SO12
_cell_length_a 9.357
_cell_length_b 9.360
_cell_length_c 22.873
_cell_angle_alpha 89.92
_cell_angle_beta 89.89
_cell_angle_gamma 60.17
_symmetry_space_group_name_H-M 'P 1'
_symmetry_Int_Tables_number 1
_symmetry_space_group_name_Hall 'P 1'
loop_
_atom_site_label
_atom_site_fract_x
_atom_site_fract_y
_atom_site_fract_z
Na1 0.000 0.000 0.000
Na2 0.000 0.055 0.664
Na3 0.037 0.688 0.152
Na4 0.274 0.061 0.166
Na5 0.286 0.430 0.646
Na6 0.293 0.730 0.080
Na7 0.321 0.060 0.834
Na8 0.334 0.381 0.003
Na9 0.334 0.689 0.576
Na10 0.335 0.336 0.330
Na11 0.374 0.016 0.485
Na12 0.607 0.392 0.498
Na13 0.625 0.767 0.984
Na14 0.628 0.061 0.410
Na15 0.655 0.399 0.167
Na16 0.669 0.719 0.332
Na17 0.670 0.019 0.910
Na18 0.674 0.665 0.662
Na19 0.705 0.353 0.815
Na20 0.938 0.733 0.832
Na21 0.956 0.100 0.317
Na22 0.958 0.395 0.742
Na23 0.986 0.731 0.501
Na24 0.999 0.359 0.244
Y1 0.313 0.731 0.928
Y2 0.323 0.720 0.724
Y3 0.337 0.708 0.426
Y4 0.658 0.053 0.065
Y5 0.670 0.042 0.756
Y6 0.991 0.385 0.896
Sc1 0.011 0.372 0.096
Sc2 0.326 0.721 0.229
Sc3 0.644 0.073 0.259
Sc4 0.659 0.052 0.558
Sc5 0.978 0.402 0.592
Sc6 0.991 0.388 0.393
Si1 0.015 0.025 0.825
Si2 0.284 0.380 0.494
Si3 0.294 0.083 0.995
Si4 0.324 0.021 0.326
Si5 0.351 0.362 0.161
Si6 0.626 0.718 0.827
Si7 0.628 0.415 0.325
Si8 0.661 0.349 0.656
Si9 0.695 0.685 0.493
Si10 0.957 0.747 0.656
Si11 0.961 0.050 0.162
Si12 0.989 0.682 0.997
S1 0.023 0.718 0.326
S2 0.324 0.416 0.827
S3 0.356 0.056 0.657
S4 0.655 0.750 0.163
S5 0.693 0.384 0.996
S6 0.985 0.095 0.494
O1 0.003 0.207 0.827
O2 0.008 0.172 0.547
O3 0.013 0.564 0.330
O4 0.094 0.747 0.379
O5 0.103 0.910 0.883
O6 0.125 0.935 0.767
O7 0.130 0.697 0.275
O8 0.130 0.925 0.489
O9 0.139 0.735 0.656
O10 0.148 0.890 0.170
O11 0.159 0.207 0.330
O12 0.165 0.682 0.997
O13 0.167 0.378 0.158
O14 0.173 0.404 0.830
O15 0.174 0.184 0.051
O16 0.175 0.393 0.552
O17 0.188 0.199 0.651
O18 0.194 0.357 0.436
O19 0.212 0.185 0.934
O20 0.291 0.553 0.493
O21 0.296 0.926 0.271
O22 0.306 0.517 0.774
O23 0.311 0.899 0.996
O24 0.330 0.546 0.170
O25 0.346 0.493 0.879
O26 0.346 0.902 0.660
O27 0.351 0.913 0.386
O28 0.427 0.080 0.711
O29 0.446 0.235 0.216
O30 0.462 0.286 0.102
O31 0.463 0.037 0.606
O32 0.468 0.250 0.821
O33 0.471 0.216 0.497
O34 0.477 0.066 0.999
O35 0.495 0.031 0.319
O36 0.498 0.535 0.656
O37 0.503 0.735 0.168
O38 0.509 0.707 0.492
O39 0.513 0.488 0.384
O40 0.522 0.728 0.886
O41 0.527 0.530 0.993
O42 0.532 0.539 0.270
O43 0.539 0.693 0.768
O44 0.628 0.893 0.825
O45 0.630 0.849 0.109
O46 0.637 0.249 0.601
O47 0.653 0.228 0.319
O48 0.679 0.233 0.000
O49 0.679 0.250 0.717
O50 0.679 0.833 0.214
O51 0.681 0.868 0.496
O52 0.778 0.402 0.048
O53 0.784 0.570 0.550
O54 0.788 0.366 0.942
O55 0.801 0.582 0.157
O56 0.810 0.590 0.435
O57 0.811 0.402 0.331
O58 0.814 0.558 0.827
O59 0.828 0.050 0.825
O60 0.830 0.870 0.999
O61 0.832 0.083 0.497
O62 0.834 0.356 0.652
O63 0.837 0.071 0.217
O64 0.850 0.821 0.716
O65 0.854 0.861 0.318
O66 0.854 0.871 0.601
O67 0.890 0.012 0.102
O68 0.963 0.606 0.935
O69 0.966 0.225 0.158
O70 0.968 0.195 0.441
O71 0.982 0.560 0.652
O72 0.996 0.567 0.053